1.
Here is a relaxed structure of MnVP2 from the Materials Project. Energies are from meta-GGA r2SCAN.

abc: 3.0689 6.0262 5.2882
angles: 90.00 90.00 90.00
Closest atoms and distances in Å follow each position.
Fractional coordinates of all 8 atoms:
Mn: 0.0000 0.0608 0.0000  6 P 2.24-2.36
Mn: 0.0000 0.9392 0.5000  6 P 2.24-2.36
V: 0.5000 0.4515 0.0128  6 P 2.36-2.47
V: 0.5000 0.5485 0.5128  6 P 2.36-2.47
P: 0.0000 0.3002 0.3251  2 Mn 2.24-2.36, 4 V 2.36-2.43
P: 0.0000 0.6998 0.8251  2 Mn 2.24-2.36, 4 V 2.36-2.43
P: 0.5000 0.1716 0.6966  4 Mn 2.32, 2 V 2.38-2.47
P: 0.5000 0.8284 0.1966  4 Mn 2.32, 2 V 2.38-2.47

Values from the calculation:
symmetry: Pmc2_1
uncorrected energy: -12.33 eV per atom

2.
Here is a relaxed structure of Mn11Pd21 from the Materials Project. Energies are from meta-GGA r2SCAN.

abc: 8.0275 8.0275 7.4325
angles: 90.00 90.00 90.00
Closest atoms and distances in Å follow each position.
Fractional coordinates of all 32 atoms:
Mn: 0.0000 0.0000 0.0000  8 Pd 2.71, 4 Mn 2.96
Mn: 0.0000 0.5000 0.5000  8 Pd 2.67-2.76, 4 Mn 2.84
Mn: 0.2466 0.2466 0.5000  10 Pd 2.71-2.88, 2 Mn 2.84
Mn: 0.2466 0.7534 0.5000  10 Pd 2.71-2.88, 2 Mn 2.84
Mn: 0.2603 0.2603 0.0000  11 Pd 2.72-2.84, 1 Mn 2.96
Mn: 0.2603 0.7397 0.0000  11 Pd 2.72-2.84, 1 Mn 2.96
Mn: 0.5000 0.0000 0.5000  8 Pd 2.67-2.76, 4 Mn 2.84
Mn: 0.7397 0.2603 0.0000  11 Pd 2.72-2.84, 1 Mn 2.96
Mn: 0.7397 0.7397 0.0000  11 Pd 2.72-2.84, 1 Mn 2.96
Mn: 0.7534 0.2466 0.5000  10 Pd 2.71-2.88, 2 Mn 2.84
Mn: 0.7534 0.7534 0.5000  10 Pd 2.71-2.88, 2 Mn 2.84
Pd: 0.0000 0.0000 0.5000  8 Pd 2.75, 4 Mn 2.80
Pd: 0.0000 0.2493 0.2456  6 Mn 2.71-2.78, 6 Pd 2.72-2.83
Pd: 0.0000 0.2493 0.7544  6 Mn 2.71-2.78, 6 Pd 2.72-2.83
Pd: 0.0000 0.5000 0.0000  8 Pd 2.72-2.77, 4 Mn 2.84
Pd: 0.0000 0.7507 0.2456  6 Mn 2.71-2.78, 6 Pd 2.72-2.83
Pd: 0.0000 0.7507 0.7544  6 Mn 2.71-2.78, 6 Pd 2.72-2.83
Pd: 0.2471 0.5000 0.2594  5 Mn 2.67-2.73, 7 Pd 2.71-2.87
Pd: 0.2471 0.5000 0.7406  5 Mn 2.67-2.73, 7 Pd 2.71-2.87
Pd: 0.2493 0.0000 0.2456  6 Mn 2.71-2.78, 6 Pd 2.72-2.83
Pd: 0.2493 0.0000 0.7544  6 Mn 2.71-2.78, 6 Pd 2.72-2.83
Pd: 0.5000 0.0000 0.0000  8 Pd 2.72-2.77, 4 Mn 2.84
Pd: 0.5000 0.2471 0.2594  5 Mn 2.67-2.73, 7 Pd 2.71-2.87
Pd: 0.5000 0.2471 0.7406  5 Mn 2.67-2.73, 7 Pd 2.71-2.87
Pd: 0.5000 0.5000 0.0000  4 Mn 2.72, 8 Pd 2.80
Pd: 0.5000 0.5000 0.5000  8 Pd 2.71, 4 Mn 2.88
Pd: 0.5000 0.7529 0.2594  5 Mn 2.67-2.73, 7 Pd 2.71-2.87
Pd: 0.5000 0.7529 0.7406  5 Mn 2.67-2.73, 7 Pd 2.71-2.87
Pd: 0.7507 0.0000 0.2456  6 Mn 2.71-2.78, 6 Pd 2.72-2.83
Pd: 0.7507 0.0000 0.7544  6 Mn 2.71-2.78, 6 Pd 2.72-2.83
Pd: 0.7529 0.5000 0.2594  5 Mn 2.67-2.73, 7 Pd 2.71-2.87
Pd: 0.7529 0.5000 0.7406  5 Mn 2.67-2.73, 7 Pd 2.71-2.87

Values from the calculation:
symmetry: P4/mmm
uncorrected energy: -20.57 eV per atom

3.
Here is a relaxed structure of Mn2PdPt from the Materials Project. Energies are from meta-GGA r2SCAN.

abc: 4.4011 4.4011 4.4011
angles: 60.00 60.00 60.00
Closest atoms and distances in Å follow each position.
Fractional coordinates of all 4 atoms:
Mn: 0.2500 0.2500 0.2500  4 Pt 2.70, 4 Pd 2.70
Mn: 0.7500 0.7500 0.7500  4 Pt 2.70, 4 Pd 2.70
Pd: 0.0000 0.0000 0.0000  8 Mn 2.70
Pt: 0.5000 0.5000 0.5000  8 Mn 2.70

Values from the calculation:
symmetry: Fm-3m
uncorrected energy: -26.62 eV per atom

4.
Here is a relaxed structure of PrMn2Si2 from the Materials Project. Energies are from meta-GGA r2SCAN.

abc: 6.0929 6.0929 6.0929
angles: 140.23 140.23 57.50
Closest atoms and distances in Å follow each position.
Fractional coordinates of all 5 atoms:
Pr: 0.0000 0.0000 0.0000  8 Si 3.18, 8 Mn 3.38
Mn: 0.2500 0.7500 0.5000  4 Si 2.52
Mn: 0.7500 0.2500 0.5000  4 Si 2.52
Si: 0.3847 0.3847 0.0000  1 Si 2.46, 4 Mn 2.52
Si: 0.6153 0.6153 0.0000  1 Si 2.46, 4 Mn 2.52

Values from the calculation:
symmetry: I4/mmm
uncorrected energy: -15.90 eV per atom

5.
Here is a relaxed structure of MnPt3 from the Materials Project. Energies are from meta-GGA r2SCAN.

abc: 3.9110 3.9110 3.9110
angles: 90.00 90.00 90.00
Closest atoms and distances in Å follow each position.
Fractional coordinates of all 4 atoms:
Mn: 0.0000 0.0000 0.0000  12 Pt 2.77
Pt: 0.0000 0.5000 0.5000  4 Mn 2.77, 8 Pt 2.77
Pt: 0.5000 0.0000 0.5000  4 Mn 2.77, 8 Pt 2.77
Pt: 0.5000 0.5000 0.0000  4 Mn 2.77, 8 Pt 2.77

Values from the calculation:
symmetry: Pm-3m
uncorrected energy: -42.85 eV per atom

6.
Here is a relaxed structure of Mn6PtRh from the Materials Project. Energies are from meta-GGA r2SCAN.

abc: 3.8548 3.8548 7.6601
angles: 90.00 90.00 90.00
Closest atoms and distances in Å follow each position.
Fractional coordinates of all 8 atoms:
Mn: 0.0000 0.0000 0.0000  8 Mn 2.70, 4 Rh 2.73
Mn: 0.0000 0.0000 0.5000  4 Pt 2.73, 8 Mn 2.73
Mn: 0.0000 0.5000 0.2469  2 Rh 2.70, 8 Mn 2.70-2.73, 2 Pt 2.73
Mn: 0.0000 0.5000 0.7531  8 Mn 2.70-2.73, 2 Rh 2.70, 2 Pt 2.73
Mn: 0.5000 0.0000 0.2469  2 Rh 2.70, 8 Mn 2.70-2.73, 2 Pt 2.73
Mn: 0.5000 0.0000 0.7531  8 Mn 2.70-2.73, 2 Rh 2.70, 2 Pt 2.73
Pt: 0.5000 0.5000 0.5000  12 Mn 2.73
Rh: 0.5000 0.5000 0.0000  12 Mn 2.70-2.73

Values from the calculation:
symmetry: P4/mmm
uncorrected energy: -20.97 eV per atom

7.
Here is a relaxed structure of Rb2Mn3Te4 from the Materials Project. Energies are from meta-GGA r2SCAN.

abc: 10.4657 10.4657 10.4657
angles: 143.58 104.66 86.68
Closest atoms and distances in Å follow each position.
Fractional coordinates of all 18 atoms:
Rb: 0.1240 0.2363 0.3603  8 Te 3.83-3.96
Rb: 0.3760 0.7363 0.1124  8 Te 3.83-3.96
Rb: 0.6240 0.2637 0.8876  8 Te 3.83-3.96
Rb: 0.8760 0.7637 0.6397  8 Te 3.83-3.96
Mn: 0.0137 0.2500 0.7637  4 Te 2.76-2.80
Mn: 0.2500 0.7500 0.5000  4 Te 2.77
Mn: 0.4863 0.2500 0.2363  4 Te 2.76-2.80
Mn: 0.5137 0.7500 0.7637  4 Te 2.76-2.80
Mn: 0.7500 0.2500 0.5000  4 Te 2.77
Mn: 0.9863 0.7500 0.2363  4 Te 2.76-2.80
Te: 0.0138 0.4129 0.1400  3 Mn 2.76-2.80
Te: 0.2270 0.0871 0.6008  3 Mn 2.76-2.80
Te: 0.2730 0.8738 0.8600  3 Mn 2.76-2.80
Te: 0.4862 0.6262 0.3992  3 Mn 2.76-2.80
Te: 0.5138 0.3738 0.6008  3 Mn 2.76-2.80
Te: 0.7270 0.1262 0.1400  3 Mn 2.76-2.80
Te: 0.7730 0.9129 0.3992  3 Mn 2.76-2.80
Te: 0.9862 0.5871 0.8600  3 Mn 2.76-2.80

Values from the calculation:
symmetry: Ibam
uncorrected energy: -20.20 eV per atom

8.
Here is a relaxed structure of Ta2MnRe from the Materials Project. Energies are from meta-GGA r2SCAN.

abc: 4.4265 4.4265 4.4265
angles: 60.00 60.00 60.00
Closest atoms and distances in Å follow each position.
Fractional coordinates of all 4 atoms:
Ta: 0.2500 0.2500 0.2500  4 Re 2.71, 4 Mn 2.71
Ta: 0.7500 0.7500 0.7500  4 Re 2.71, 4 Mn 2.71
Mn: 0.0000 0.0000 0.0000  8 Ta 2.71
Re: 0.5000 0.5000 0.5000  8 Ta 2.71

Values from the calculation:
symmetry: Fm-3m
uncorrected energy: -41.39 eV per atom

9.
Here is a relaxed structure of ZrMnRh2 from the Materials Project. Energies are from meta-GGA r2SCAN.

abc: 4.4838 4.4838 4.4838
angles: 60.00 60.00 60.00
Closest atoms and distances in Å follow each position.
Fractional coordinates of all 4 atoms:
Zr: 0.0000 0.0000 0.0000  8 Rh 2.75
Mn: 0.5000 0.5000 0.5000  8 Rh 2.75
Rh: 0.2500 0.2500 0.2500  4 Zr 2.75, 4 Mn 2.75
Rh: 0.7500 0.7500 0.7500  4 Zr 2.75, 4 Mn 2.75

Values from the calculation:
symmetry: Fm-3m
uncorrected energy: -22.24 eV per atom

10.
Here is a relaxed structure of Ti2MnRu from the Materials Project. Energies are from meta-GGA r2SCAN.

abc: 4.3040 4.3040 4.3040
angles: 60.00 60.00 60.00
Closest atoms and distances in Å follow each position.
Fractional coordinates of all 4 atoms:
Ti: 0.2500 0.2500 0.2500  4 Ru 2.64, 4 Mn 2.64
Ti: 0.7500 0.7500 0.7500  4 Mn 2.64, 4 Ru 2.64
Mn: 0.0000 0.0000 0.0000  8 Ti 2.64
Ru: 0.5000 0.5000 0.5000  8 Ti 2.64

Values from the calculation:
symmetry: Fm-3m
uncorrected energy: -16.99 eV per atom

> Number 4 is which compound?

PrMn2Si2